Ba3Sc3InCu3O12 | PBE | relaxed

abc: 9.563 9.563 9.563
angles: 127.04 101.70 101.23
Fractional positions:
Ba1 0.000 0.248 0.248
Ba2 0.000 0.752 0.752
Ba3 0.057 0.529 0.028
Ba4 0.499 0.471 0.528
Ba5 0.501 0.029 0.972
Ba6 0.943 0.971 0.472
Sc1 0.240 0.500 0.740
Sc2 0.240 0.740 0.500
Sc3 0.243 0.000 0.243
Sc4 0.757 0.000 0.757
Sc5 0.760 0.260 0.500
Sc6 0.760 0.500 0.260
In1 0.242 0.242 0.000
In2 0.758 0.758 0.000
Cu1 0.291 0.145 0.642
Cu2 0.497 0.855 0.146
Cu3 0.500 0.000 0.500
Cu4 0.500 0.500 0.000
Cu5 0.503 0.649 0.358
Cu6 0.709 0.351 0.854
O1 0.000 0.372 0.627
O2 0.000 0.627 0.372
O3 0.008 0.873 0.131
O4 0.254 0.628 0.628
O5 0.257 0.127 0.134
O6 0.261 0.010 0.742
O7 0.262 0.250 0.514
O8 0.264 0.750 0.011
O9 0.268 0.519 0.258
O10 0.270 0.362 0.861
O11 0.270 0.902 0.403
O12 0.498 0.638 0.907
O13 0.500 0.098 0.367
O14 0.500 0.867 0.597
O15 0.502 0.409 0.139
O16 0.730 0.133 0.633
O17 0.730 0.591 0.093
O18 0.732 0.990 0.251
O19 0.736 0.748 0.486
O20 0.738 0.252 0.989
O21 0.739 0.481 0.749
O22 0.743 0.877 0.869
O23 0.746 0.373 0.373
O24 0.992 0.123 0.866

The calculation puts the total energy at -298.8 eV per cell.